[1]
## Zn2Cl5O2 (PBE)

Data for crystalline Zn2Cl5O2 at its relaxed geometry.

Unit cell a=12.085 b=11.976 c=6.608 alpha=74.98 beta=73.15 gamma=31.88
Positions (direct):
1 Zn 0.310 0.362 0.164
2 O 0.509 0.478 0.369
3 O 0.772 0.741 0.606
4 Cl 0.382 0.118 0.118
5 Cl 0.812 0.487 0.398
6 Cl 0.219 0.949 0.254
7 O 0.881 0.606 0.741
8 Cl 0.303 0.398 0.487
9 Zn 0.165 0.164 0.362
10 O 0.644 0.369 0.478
11 Zn 0.086 0.085 0.940
12 Cl 0.301 0.031 0.672
13 Zn 0.888 0.940 0.085
14 Cl 0.996 0.672 0.031
15 Cl 0.852 0.947 0.438
16 Cl 0.132 0.868 0.868
17 Cl 0.578 0.254 0.949
18 Cl 0.763 0.438 0.947

Results
- calculated density (kg/m3) = 2338
- electronic total energy (Ha/atom) = -0.1127
- space-group type = No. 43
- E_form (eV/atom) = -0.696

[2]
## Se2O5 (PBE)

Data for crystalline Se2O5 at its relaxed geometry.

Unit cell a=7.110 b=4.857 c=14.019 alpha=88.87 beta=90.00 gamma=90.00
Positions (direct):
1 O 0.102 0.700 0.126
2 Se 0.286 0.499 0.129
3 O 0.330 0.301 0.039
4 O 0.398 0.700 0.626
5 Se 0.214 0.499 0.629
6 O 0.282 0.270 0.228
7 Se 0.741 0.632 0.140
8 O 0.749 0.299 0.639
9 O 0.524 0.280 0.847
10 O 0.218 0.270 0.728
11 Se 0.259 0.368 0.860
12 O 0.751 0.299 0.139
13 O 0.476 0.720 0.153
14 O 0.670 0.699 0.961
15 Se 0.786 0.501 0.371
16 Se 0.241 0.368 0.360
17 O 0.976 0.280 0.347
18 O 0.782 0.730 0.272
19 O 0.249 0.701 0.861
20 O 0.170 0.301 0.539
21 O 0.718 0.730 0.772
22 O 0.251 0.701 0.361
23 O 0.898 0.300 0.874
24 O 0.830 0.699 0.461
25 Se 0.714 0.501 0.871
26 O 0.602 0.300 0.374
27 Se 0.759 0.632 0.640
28 O 0.024 0.720 0.653

Results
- calculated density (kg/m3) = 3265
- electronic total energy (Ha/atom) = -0.1861
- space-group type = No. 14
- E_form (eV/atom) = -1.022